No. 1
First-principles (GGA-PBE) data for Al2Hg5Se8 after structural relaxation, as listed in the Materials Project database.

Geometry as extended XYZ:
```
60
Lattice="-4.653 -3.757 6.209 3.093 -6.524 4.303 7.926 3.704 32.997" Properties=species:S:1:pos:R:3 pbc="T T T"
Se 1.450 -1.066 30.780
Se 7.165 -0.071 26.873
Se -2.066 -1.905 3.289
Se -0.815 -5.043 5.356
Se 0.385 -4.589 9.337
Se 0.649 -0.623 15.397
Se 4.690 1.273 31.830
Se 5.144 -2.259 30.091
Se -2.426 -2.906 14.611
Se 6.197 -1.870 34.005
Se 3.817 -6.055 8.280
Se 5.811 -5.147 16.548
Se -0.354 -1.810 22.875
Se 6.764 2.994 28.853
Se 4.458 -1.963 14.679
Se 3.882 0.911 27.982
Se 3.272 -2.237 10.274
Se -1.436 -1.635 7.108
Se 1.156 -4.084 13.568
Se 6.374 -0.866 22.808
Se 1.339 -2.827 2.272
Se 2.799 0.434 23.628
Se 8.373 0.008 31.089
Se -0.092 -1.010 11.532
Se 4.145 -2.847 25.719
Se 1.904 -0.038 19.739
Se 2.502 -2.929 6.478
Se 3.344 -0.286 39.020
Se 4.803 2.041 20.607
Se 5.141 -1.321 18.415
Se 3.158 -3.143 21.818
Se 2.302 -3.709 17.545
Hg 0.567 -1.592 18.029
Hg -0.808 -6.536 7.764
Hg 1.723 -4.466 4.302
Hg 1.169 -5.612 15.903
Hg -1.411 -2.524 9.773
Hg 4.588 0.118 34.685
Hg 4.149 -3.849 28.149
Hg 1.108 -0.527 6.409
Hg 6.130 -2.923 36.405
Hg 3.153 0.492 14.728
Hg 6.775 -2.159 25.387
Hg 7.610 -1.617 28.966
Hg 5.648 -2.560 20.715
Hg 5.042 -3.837 32.520
Hg 8.818 -1.167 33.727
Hg 2.611 -0.804 26.421
Hg 2.239 -4.907 19.984
Hg 3.702 -3.567 12.534
Hg 0.256 -5.850 11.727
Hg 3.048 -4.768 24.164
Al -0.332 -2.113 13.676
Al -2.353 -3.130 5.364
Al 6.987 2.020 31.068
Al 4.589 -3.085 16.880
Al 2.669 -3.969 8.711
Al 1.766 -1.111 21.907
Al 3.713 -0.279 30.087
Al 5.072 1.189 22.861
```

Output
Total magnetic moment (μB per formula unit): 0.00
Space-group type: P1, No. 1
Calculated volume (Å³/f.u.): 430.8
Energy relative to the lowest polymorph listed for this composition (eV per atom): 0.000
MP2020-corrected energy (eV per atom): -3.1235


No. 2
First-principles (GGA-PBE) data for Al2HgTe4 after structural relaxation, as listed in the Materials Project database.

Geometry as extended XYZ:
```
7
Lattice="-3.143 3.143 5.986 3.143 -3.143 5.986 3.143 3.143 -5.986" Properties=species:S:1:pos:R:3 pbc="T T T"
Al 0.000 0.000 5.986
Al 3.143 0.000 2.993
Te 1.418 1.526 4.331
Te 1.725 1.616 -1.655
Te 1.616 4.560 1.655
Te 1.526 -1.418 7.641
Hg 0.000 0.000 0.000
```

Output
Space-group type: I-4, No. 82
Calculated volume (Å³/f.u.): 236.5
MP2020-corrected energy (eV per atom): -3.5326
Maximum piezoelectric response (C/m²): 0.1


No. 3
First-principles (GGA-PBE) data for HoAl3 after structural relaxation, as listed in the Materials Project database.

Geometry as extended XYZ:
```
20
Lattice="-10.890 1.833 5.848 -7.477 -1.075 9.954 -6.872 4.928 9.201" Properties=species:S:1:pos:R:3 pbc="T T T"
Ho 0.000 0.000 0.000
Ho -3.306 0.745 3.275
Ho -10.097 2.274 10.002
Ho -21.933 4.941 21.727
Ho -15.142 3.411 15.000
Al -9.184 0.379 7.901
Al -8.881 3.380 7.524
Al -12.567 1.126 11.242
Al -12.672 4.559 13.760
Al -7.174 1.926 9.577
Al -6.321 0.185 7.406
Al -6.049 2.880 7.067
Al -12.262 4.154 10.862
Al -14.699 2.998 12.069
Al -19.190 2.805 17.935
Al -12.977 1.532 14.140
Al -7.854 1.491 5.562
Al -17.385 4.195 19.441
Al -18.918 5.501 17.596
Al -10.541 2.687 12.933
```

Output
Space-group type: R-3m, No. 166
Calculated volume (Å³/f.u.): 76.8


No. 4
First-principles (GGA-PBE) data for HoAl3 after structural relaxation, as listed in the Materials Project database.

Geometry as extended XYZ:
```
8
Lattice="-4.414 3.125 3.106 0.432 -6.194 0.586 2.893 0.539 3.569" Properties=species:S:1:pos:R:3 pbc="T T T"
Ho 0.987 -2.683 4.102
Ho -2.075 0.154 3.158
Al 0.925 0.413 3.684
Al 0.437 -4.677 1.852
Al -1.285 -1.291 5.734
Al -2.013 -2.942 3.576
Al 0.197 -1.238 1.526
Al -1.525 2.148 5.409
```

Output
Space-group type: P6_3/mmc, No. 194
Calculated volume (Å³/f.u.): 77.9


No. 5
First-principles (GGA-PBE) data for Ho4Al after structural relaxation, as listed in the Materials Project database.

Geometry as extended XYZ:
```
10
Lattice="4.025 4.231 5.252 7.773 -0.916 0.653 4.842 5.691 -2.422" Properties=species:S:1:pos:R:3 pbc="T T T"
Ho 5.697 0.904 0.778
Ho 4.450 3.715 -0.530
Ho 10.090 5.461 2.113
Ho 2.390 1.294 0.500
Ho 6.783 5.851 1.835
Ho 8.378 3.661 -0.122
Ho 4.103 3.094 2.735
Ho 8.030 3.040 3.143
Al 0.000 0.000 0.000
Al 12.480 6.755 2.613
```

Output
Total magnetic moment (μB per formula unit): 0.00
Space-group type: Fd-3m, No. 227
Calculated volume (Å³/f.u.): 171.3


No. 6
First-principles (GGA-PBE) data for Ho3Al2 after structural relaxation, as listed in the Materials Project database.

Geometry as extended XYZ:
```
20
Lattice="8.202 0.000 0.000 0.000 8.202 0.000 0.000 0.000 7.579" Properties=species:S:1:pos:R:3 pbc="T T T"
Ho 5.331 5.331 0.000
Ho 1.650 6.552 0.000
Ho 4.101 0.000 5.684
Ho 2.871 2.871 0.000
Ho 6.552 1.650 0.000
Ho 0.000 4.101 1.895
Ho 1.230 6.972 3.789
Ho 0.000 4.101 5.684
Ho 6.972 1.230 3.789
Ho 2.451 2.451 3.789
Ho 5.751 5.751 3.789
Ho 4.101 0.000 1.895
Al 0.980 0.980 1.487
Al 3.122 5.081 5.276
Al 5.081 3.122 2.303
Al 0.980 0.980 6.092
Al 7.223 7.223 6.092
Al 5.081 3.122 5.276
Al 7.223 7.223 1.487
Al 3.122 5.081 2.303
```

Output
Space-group type: P4_2/mnm, No. 136
Calculated volume (Å³/f.u.): 127.5


No. 7
First-principles (GGA-PBE) data for HoAl3 after structural relaxation, as listed in the Materials Project database.

Geometry as extended XYZ:
```
4
Lattice="4.246 0.000 0.000 0.000 4.246 0.000 0.000 0.000 4.246" Properties=species:S:1:pos:R:3 pbc="T T T"
Al 2.123 0.000 2.123
Al 2.123 2.123 0.000
Al 0.000 2.123 2.123
Ho 0.000 0.000 0.000
```

Output
Space-group type: Pm-3m, No. 221
Calculated volume (Å³/f.u.): 76.6


No. 8
First-principles (GGA-PBE) data for HoAl3 after structural relaxation, as listed in the Materials Project database.

Geometry as extended XYZ:
```
12
Lattice="-5.501 -1.591 2.267 -4.761 -0.881 -3.805 -1.690 -7.646 -1.099" Properties=species:S:1:pos:R:3 pbc="T T T"
Al -5.348 -3.565 -2.450
Al -2.750 -0.795 1.134
Al -2.381 -0.441 -1.903
Al -5.675 -3.879 0.238
Al -6.276 -6.239 -2.875
Al -7.783 -4.269 -1.446
Al -5.131 -1.236 -0.769
Al -4.168 -5.849 -1.191
Al -6.603 -6.553 -0.187
Ho -2.823 -3.181 -0.715
Ho -9.129 -6.937 -1.922
Ho 0.000 0.000 0.000
```

Output
Space-group type: R-3m, No. 166
Calculated volume (Å³/f.u.): 77.3


No. 9
First-principles (GGA-PBE) data for HoAl after structural relaxation, as listed in the Materials Project database.

Geometry as extended XYZ:
```
16
Lattice="-4.998 1.176 -2.267 -0.032 -5.204 -2.629 -5.174 -4.543 9.054" Properties=species:S:1:pos:R:3 pbc="T T T"
Al -3.822 -5.376 -1.309
Al -3.883 -3.782 6.600
Al -6.382 -3.195 5.467
Al -5.849 -4.374 0.206
Al -1.778 -3.581 -1.411
Al -1.323 -5.964 -0.176
Al -4.355 -4.198 3.952
Al -8.426 -4.990 5.569
Ho -6.255 -2.152 2.253
Ho -7.226 -5.296 2.764
Ho -3.949 -6.419 1.904
Ho -1.340 -0.619 -0.840
Ho -2.978 -3.275 1.393
Ho -5.571 -6.625 5.375
Ho -8.863 -7.952 4.997
Ho -4.632 -1.946 -1.217
```

Output
Space-group type: Pbcm, No. 57
Calculated volume (Å³/f.u.): 46.5


No. 10
First-principles (GGA-PBE) data for Ho2Al9Ir3 after structural relaxation, as listed in the Materials Project database.

Geometry as extended XYZ:
```
28
Lattice="-5.797 2.370 4.197 4.102 -5.885 2.320 5.782 5.872 4.670" Properties=species:S:1:pos:R:3 pbc="T T T"
Ho 2.433 5.164 4.903
Ho -1.584 -0.107 6.898
Ho 5.671 2.464 4.289
Ho 1.654 -2.807 6.284
Ir 0.000 0.000 0.000
Ir 2.891 2.936 2.335
Ir -2.548 -0.340 3.581
Ir 0.343 2.596 5.916
Ir 3.744 -0.239 5.271
Ir 0.853 -3.175 2.937
Al 1.789 -1.532 1.123
Al 2.357 3.304 7.337
Al -0.809 -2.017 4.599
Al 1.730 -0.946 3.851
Al 4.424 1.580 6.945
Al 4.896 4.374 6.589
Al 0.534 3.290 3.397
Al 3.830 0.541 2.772
Al 2.298 3.889 10.065
Al -0.337 0.777 4.243
Al 0.257 1.816 8.416
Al 2.855 1.333 9.198
Al -1.508 1.216 1.748
Al 2.644 2.086 4.770
Al 1.232 1.025 1.990
Al 5.594 1.141 9.440
Al 3.553 -0.933 7.791
Al 1.443 0.271 6.418
```

Output
Space-group type: Cmcm, No. 63
Calculated volume (Å³/f.u.): 234.3


No. 11
First-principles (GGA-PBE) data for HoLuAl2 after structural relaxation, as listed in the Materials Project database.

Geometry as extended XYZ:
```
4
Lattice="3.180 -2.767 -2.718 1.203 -4.633 1.497 -1.685 -3.976 -2.550" Properties=species:S:1:pos:R:3 pbc="T T T"
Al 0.675 -2.844 -0.943
Al 2.024 -8.532 -2.828
Lu 0.000 0.000 0.000
Ho 1.349 -5.688 -1.885
```

Output
Total magnetic moment (μB per formula unit): 0.01
Space-group type: Fm-3m, No. 225
Calculated volume (Å³/f.u.): 89.2


No. 12
First-principles (GGA-PBE) data for HoMnAl after structural relaxation, as listed in the Materials Project database.

Geometry as extended XYZ:
```
6
Lattice="4.890 0.627 -2.244 2.162 -2.410 4.343 -3.869 -2.542 -2.814" Properties=species:S:1:pos:R:3 pbc="T T T"
Mn 1.592 -2.162 -0.358
Mn 2.445 0.314 -1.122
Ho 1.613 -1.650 -3.542
Ho 1.570 -2.674 2.827
Al -0.853 -2.476 0.765
Al 3.526 -0.891 1.050
```

Output
Total magnetic moment (μB per formula unit): 2.60
Space-group type: Imma, No. 74
Calculated volume (Å³/f.u.): 56.8


No. 13
First-principles (GGA-PBE) data for HoMn6Al6 after structural relaxation, as listed in the Materials Project database.

Geometry as extended XYZ:
```
13
Lattice="-2.467 4.304 4.408 2.467 -4.304 4.408 2.467 4.304 -4.408" Properties=species:S:1:pos:R:3 pbc="T T T"
Mn -1.233 2.152 2.204
Mn 1.233 2.152 2.204
Mn 1.233 2.152 -2.204
Mn 0.000 2.276 4.408
Mn 2.467 2.027 0.000
Mn 1.233 -2.152 2.204
Al 0.000 2.915 0.000
Al 0.000 0.000 3.053
Al 0.000 5.692 0.000
Al 0.000 4.304 2.670
Al 2.467 0.000 1.738
Al 0.000 0.000 5.763
Ho 0.000 0.000 0.000
```

Output
Total magnetic moment (μB per formula unit): 7.10
Space-group type: Immm, No. 71
Calculated volume (Å³/f.u.): 187.2


No. 14
First-principles (GGA-PBE) data for Ho6Al43Mo4 after structural relaxation, as listed in the Materials Project database.

Geometry as extended XYZ:
```
106
Lattice="-9.913 0.734 -4.825 4.431 -9.914 2.039 -7.714 -0.194 15.820" Properties=species:S:1:pos:R:3 pbc="T T T"
Al -2.966 -2.624 8.911
Al 1.851 -8.504 5.694
Al -5.459 -2.119 3.900
Al -9.963 -2.937 7.371
Al -4.548 0.042 5.328
Al -2.735 -1.399 3.545
Al -11.040 -1.168 9.290
Al -5.181 -6.487 9.659
Al -7.090 -6.535 13.574
Al -8.015 -2.888 3.376
Al -4.117 -4.816 7.726
Al -1.016 -8.457 11.440
Al -3.189 -3.804 4.986
Al -5.847 -4.059 1.995
Al -6.353 -2.709 15.856
Al -5.134 -1.604 12.165
Al -13.079 0.498 5.667
Al -7.582 -7.796 3.752
Al -7.662 -2.184 6.029
Al -6.368 -1.897 -3.129
Al -11.340 -5.604 10.782
Al -0.317 -7.485 8.948
Al -4.866 -7.966 4.117
Al -15.166 0.445 9.947
Al -5.065 -8.334 13.808
Al -8.131 -1.040 -0.774
Al -1.677 -7.093 -0.905
Al -7.701 -1.632 13.562
Al -1.629 -2.340 -0.226
Al -2.268 -1.651 6.419
Al -6.272 -3.958 13.273
Al -11.567 -7.035 13.260
Al -10.225 -1.995 4.781
Al -4.127 -2.085 1.166
Al -2.971 -7.380 8.253
Al -8.592 -3.429 0.664
Al -0.181 -1.599 2.139
Al -6.742 -1.103 1.595
Al -8.256 -5.450 2.495
Al -0.945 -5.407 4.369
Al -7.737 -7.256 9.135
Al -7.349 -5.315 11.039
Al -5.614 -1.579 9.282
Al 0.887 -7.283 0.343
Al -1.324 -6.389 1.749
Al -3.233 -6.437 5.664
Al -9.460 -3.748 10.029
Al -9.999 -0.002 14.111
Al -4.604 -5.945 12.370
Al -3.732 -8.301 11.075
Al -3.736 -5.627 3.005
Al -10.007 -5.571 8.048
Al -8.181 -6.949 6.315
Al 0.553 -7.487 3.382
Al -4.940 -3.925 10.539
Al -7.628 0.541 -3.116
Al 3.069 -7.400 2.003
Al -8.330 -1.408 8.917
Al -6.106 -2.840 -0.539
Al -5.016 -2.425 6.719
Al -10.383 0.577 -0.160
Al -9.662 -1.442 11.651
Al -5.495 -7.743 -0.528
Al -3.534 -7.933 1.384
Al -11.872 -2.985 11.286
Al -1.856 -3.770 2.253
Al -9.464 -1.074 1.960
Al -2.461 0.094 1.048
Al -7.244 -0.038 11.155
Al -10.461 -7.976 9.489
Al -5.222 -4.462 -2.601
Al -2.156 -8.207 3.744
Al -0.260 -4.719 -0.185
Al -9.079 -4.559 5.309
Al -3.102 -8.510 15.720
Al -5.535 -7.190 7.005
Al -0.780 -7.520 6.115
Al -12.252 -3.968 8.665
Al -6.924 -5.416 -0.238
Al -6.454 -8.271 11.439
Al -13.749 -1.888 9.652
Al -11.015 0.456 3.829
Al -9.070 -7.289 11.868
Al -12.416 -1.854 6.919
Al -3.804 -2.087 -1.881
Al -6.613 0.084 7.166
Ho 1.343 -4.669 2.465
Ho -4.627 -5.439 15.395
Ho -3.646 -4.892 0.029
Ho -2.240 -5.379 10.501
Ho -7.164 -4.422 8.111
Ho -9.551 -4.482 13.005
Ho -1.043 -4.730 7.359
Ho -5.386 0.326 -0.755
Ho -12.242 0.214 11.751
Ho -6.032 -4.952 4.923
Ho -9.855 0.274 6.857
Ho -7.772 0.266 4.139
Mo -2.555 -7.375 13.352
Mo -13.014 0.389 8.347
Mo -0.728 -2.734 4.507
Mo -5.926 -6.743 1.924
Mo 0.000 0.000 0.000
Mo -7.270 -2.632 11.111
Mo -3.857 -0.097 7.910
Mo -4.613 0.150 2.648
```

Output
Total magnetic moment (μB per formula unit): 0.16
Space-group type: P6_3/mcm, No. 193
Calculated volume (Å³/f.u.): 930.5


No. 15
First-principles (GGA-PBE) data for HoAlNi4 after structural relaxation, as listed in the Materials Project database.

Geometry as extended XYZ:
```
6
Lattice="-3.161 3.090 -2.007 -0.876 -1.539 4.520 2.112 3.115 1.470" Properties=species:S:1:pos:R:3 pbc="T T T"
Ni -0.525 3.102 -0.269
Ni -1.638 0.006 2.342
Ni 0.618 0.788 2.995
Ni -2.398 1.545 0.171
Al -0.962 2.333 1.991
Ho 0.000 0.000 0.000
```

Output
Space-group type: Cmmm, No. 65
Calculated volume (Å³/f.u.): 84.1


| no. | ΔE_f (eV/f.u.) |
| --- | --- |
| 1 | -9.9 |
| 2 | -4.4 |
| 3 | -1.7 |
| 4 | -1.7 |
| 5 | 2.6 |
| 6 | -1.6 |
| 7 | -1.7 |
| 8 | -1.7 |
| 9 | -0.8 |
| 10 | -12.1 |
| 11 | -1.5 |
| 12 | -0.7 |
| 13 | -3.2 |
| 14 | -16.7 |
| 15 | -3.2 |